1.
Here is a geometry-optimized Rb2P3Se6 structure from the Materials Project database. Energies are from PBE.

Cell: 10.8567 15.6064 16.9975 Å, 90.00 90.00 90.00°
With the nearest neighbours (Å) after each atom.
Fractional coordinates of all 88 atoms:
Se (0.5605, 0.9275, 0.3233)  1 P 2.16
Se (0.5299, 0.1925, 0.1475)  1 P 2.16
Se (0.0000, 0.1918, 0.8624)  2 P 2.31-2.33
Se (0.4395, 0.9275, 0.8233)  1 P 2.16
Se (0.7803, 0.7979, 0.2350)  2 P 2.33
Se (0.9553, 0.4372, 0.9135)  1 P 2.16
Se (0.7619, 0.5703, 0.5522)  1 P 2.17
Se (0.7338, 0.5570, 0.0107)  2 P 2.32-2.33
Se (0.7803, 0.2979, 0.2650)  2 P 2.33
Se (0.0110, 0.4543, 0.6587)  1 P 2.15
Se (0.4395, 0.4275, 0.6767)  1 P 2.16
Se (0.7242, 0.2840, 0.8016)  1 P 2.15
Se (0.2662, 0.5570, 0.5107)  2 P 2.32-2.33
Se (0.7338, 0.0570, 0.4893)  2 P 2.32-2.33
Se (0.7619, 0.0703, 0.9478)  1 P 2.17
Se (0.9553, 0.9372, 0.5865)  1 P 2.16
Se (0.0000, 0.1918, 0.3624)  2 P 2.31-2.33
Se (0.9782, 0.6727, 0.8964)  1 P 2.16
Se (0.7242, 0.7840, 0.6984)  1 P 2.15
Se (0.2662, 0.0570, 0.9893)  2 P 2.32-2.33
Se (0.9890, 0.4543, 0.1587)  1 P 2.15
Se (0.9782, 0.1727, 0.6036)  1 P 2.16
Se (0.0447, 0.9372, 0.0865)  1 P 2.16
Se (0.0447, 0.4372, 0.4135)  1 P 2.16
Se (0.9890, 0.9543, 0.3413)  1 P 2.15
Se (0.0110, 0.9543, 0.8413)  1 P 2.15
Se (0.5138, 0.1613, 0.3887)  2 P 2.31-2.33
Se (0.4859, 0.8972, 0.5816)  1 P 2.16
Se (0.4859, 0.3972, 0.9184)  1 P 2.16
Se (0.5141, 0.3972, 0.4184)  1 P 2.16
Se (0.4862, 0.1613, 0.8887)  2 P 2.31-2.33
Se (0.4701, 0.6925, 0.8525)  1 P 2.16
Se (0.4701, 0.1925, 0.6475)  1 P 2.16
Se (0.2758, 0.2840, 0.3016)  1 P 2.15
Se (0.2381, 0.0703, 0.4478)  1 P 2.17
Se (0.0218, 0.6727, 0.3964)  1 P 2.16
Se (0.5605, 0.4275, 0.1767)  1 P 2.16
Se (0.2381, 0.5703, 0.0522)  1 P 2.17
Se (0.0000, 0.6918, 0.6376)  2 P 2.31-2.33
Se (0.2197, 0.7979, 0.7350)  2 P 2.33
Se (0.0218, 0.1727, 0.1036)  1 P 2.16
Se (0.4862, 0.6613, 0.6113)  2 P 2.31-2.33
Se (0.0000, 0.6918, 0.1376)  2 P 2.31-2.33
Se (0.5141, 0.8972, 0.0816)  1 P 2.16
Se (0.2758, 0.7840, 0.1984)  1 P 2.15
Se (0.2197, 0.2979, 0.7650)  2 P 2.33
Se (0.5138, 0.6613, 0.1113)  2 P 2.31-2.33
Se (0.5299, 0.6925, 0.3525)  1 P 2.16
Rb (0.2755, 0.5442, 0.2785)  10 Se 3.79-4.20, 2 P 3.96-4.15
Rb (0.2755, 0.0442, 0.2215)  10 Se 3.79-4.20, 2 P 3.96-4.15
Rb (0.2673, 0.8419, 0.4106)  1 P 3.54, 7 Se 3.63-3.85
Rb (0.2673, 0.3419, 0.0894)  1 P 3.54, 7 Se 3.63-3.85
Rb (0.2385, 0.3020, 0.5255)  7 Se 3.54-3.90, 1 P 3.92
Rb (0.7615, 0.8020, 0.4745)  7 Se 3.54-3.90, 1 P 3.92
Rb (0.7623, 0.5198, 0.3366)  1 P 3.51, 7 Se 3.57-3.83
Rb (0.7327, 0.8419, 0.9106)  1 P 3.54, 7 Se 3.63-3.85
Rb (0.2385, 0.8020, 0.9745)  7 Se 3.54-3.90, 1 P 3.92
Rb (0.7615, 0.3020, 0.0255)  7 Se 3.54-3.90, 1 P 3.92
Rb (0.2377, 0.0198, 0.6634)  1 P 3.51, 7 Se 3.57-3.83
Rb (0.7245, 0.0442, 0.7215)  10 Se 3.79-4.20, 2 P 3.96-4.15
Rb (0.7327, 0.3419, 0.5894)  1 P 3.54, 7 Se 3.63-3.85
Rb (0.7623, 0.0198, 0.1634)  1 P 3.51, 7 Se 3.57-3.83
Rb (0.2377, 0.5198, 0.8366)  1 P 3.51, 7 Se 3.57-3.83
Rb (0.7245, 0.5442, 0.7785)  10 Se 3.79-4.20, 2 P 3.96-4.15
P (0.9545, 0.0583, 0.9160)  3 Se 2.15-2.33, 1 P 2.31
P (0.2902, 0.6922, 0.5663)  1 P 2.21, 2 Se 2.31-2.33
P (0.0455, 0.5583, 0.0840)  3 Se 2.15-2.33, 1 P 2.31
P (0.7098, 0.1922, 0.4337)  1 P 2.21, 2 Se 2.31-2.33
P (0.9362, 0.5617, 0.9674)  3 Se 2.16-2.32, 1 P 2.31
P (0.5763, 0.2991, 0.2232)  3 Se 2.16-2.33, 1 P 2.30
P (0.1981, 0.6623, 0.6790)  1 P 2.21, 2 Se 2.31-2.33
P (0.7098, 0.6922, 0.0663)  1 P 2.21, 2 Se 2.31-2.33
P (0.5352, 0.7958, 0.6617)  3 Se 2.15-2.33, 1 P 2.30
P (0.4648, 0.2958, 0.3383)  3 Se 2.15-2.33, 1 P 2.30
P (0.8019, 0.6623, 0.1790)  1 P 2.21, 2 Se 2.31-2.33
P (0.0638, 0.0617, 0.0326)  3 Se 2.16-2.32, 1 P 2.31
P (0.2902, 0.1922, 0.9337)  1 P 2.21, 2 Se 2.31-2.33
P (0.4648, 0.7958, 0.1617)  3 Se 2.15-2.33, 1 P 2.30
P (0.4237, 0.2991, 0.7232)  3 Se 2.16-2.33, 1 P 2.30
P (0.9362, 0.0617, 0.5326)  3 Se 2.16-2.32, 1 P 2.31
P (0.1981, 0.1623, 0.8210)  1 P 2.21, 2 Se 2.31-2.33
P (0.9545, 0.5583, 0.5840)  3 Se 2.15-2.33, 1 P 2.31
P (0.4237, 0.7991, 0.7768)  3 Se 2.16-2.33, 1 P 2.30
P (0.0638, 0.5617, 0.4674)  3 Se 2.16-2.32, 1 P 2.31
P (0.8019, 0.1623, 0.3210)  1 P 2.21, 2 Se 2.31-2.33
P (0.5763, 0.7991, 0.2768)  3 Se 2.16-2.33, 1 P 2.30
P (0.0455, 0.0583, 0.4160)  3 Se 2.15-2.33, 1 P 2.31
P (0.5352, 0.2958, 0.8383)  3 Se 2.15-2.33, 1 P 2.30

space-group type = Pca2_1, No. 29
volume = 2879.96 Å³ per cell
final energy = -4.05 eV per atom



2.
Here is a geometry-optimized Rb4P2Se9 structure from the Materials Project database. Energies are from PBE.

Cell: 7.3428 7.3428 19.6080 Å, 87.78 87.78 94.45°
With the nearest neighbours (Å) after each atom.
Fractional coordinates of all 30 atoms:
Se (0.4832, 0.8796, 0.8584)  1 P 2.19
Se (0.7237, 0.7882, 0.4910)  1 P 2.21
Se (0.2118, 0.2763, 0.0090)  1 P 2.21
Se (0.9524, 0.9888, 0.3526)  1 P 2.37, 1 Se 2.38
Se (0.0990, 0.9010, 0.2500)  2 Se 2.38
Se (0.0476, 0.0112, 0.6474)  1 P 2.37, 1 Se 2.38
Se (0.0112, 0.0476, 0.1474)  1 P 2.37, 1 Se 2.38
Se (0.9888, 0.9524, 0.8526)  1 P 2.37, 1 Se 2.38
Se (0.5003, 0.7545, 0.3232)  1 P 2.18
Se (0.2455, 0.4997, 0.1768)  1 P 2.18
Se (0.2763, 0.2118, 0.5090)  1 P 2.21
Se (0.7545, 0.5003, 0.8232)  1 P 2.18
Se (0.4997, 0.2455, 0.6768)  1 P 2.18
Se (0.5168, 0.1204, 0.1416)  1 P 2.19
Se (0.8796, 0.4832, 0.3584)  1 P 2.19
Se (0.7882, 0.7237, 0.9910)  1 P 2.21
Se (0.1204, 0.5168, 0.6416)  1 P 2.19
Se (0.9010, 0.0990, 0.7500)  2 Se 2.38
Rb (0.2825, 0.7804, 0.0254)  8 Se 3.54-3.81
Rb (0.7175, 0.2196, 0.9746)  8 Se 3.54-3.81
Rb (0.4355, 0.2480, 0.3209)  8 Se 3.68-3.91, 1 Rb 4.09
Rb (0.7520, 0.5645, 0.1791)  8 Se 3.68-3.91, 1 Rb 4.09
Rb (0.2196, 0.7175, 0.4746)  8 Se 3.54-3.81
Rb (0.5645, 0.7520, 0.6791)  8 Se 3.68-3.91, 1 Rb 4.09
Rb (0.2480, 0.4355, 0.8209)  8 Se 3.68-3.91, 1 Rb 4.09
Rb (0.7804, 0.2825, 0.5254)  8 Se 3.54-3.81
P (0.7310, 0.7455, 0.8815)  4 Se 2.18-2.37
P (0.2545, 0.2690, 0.6185)  4 Se 2.18-2.37
P (0.2690, 0.2545, 0.1185)  4 Se 2.18-2.37
P (0.7455, 0.7310, 0.3815)  4 Se 2.18-2.37

space-group type = C2/c, No. 15
volume = 1052.29 Å³ per cell
final energy = -3.74 eV per atom



3.
Here is a geometry-optimized RbPSe6 structure from the Materials Project database. Energies are from PBE.

Cell: 7.0601 11.7855 12.3785 Å, 90.00 90.00 90.00°
With the nearest neighbours (Å) after each atom.
Fractional coordinates of all 32 atoms:
Se (0.4195, 0.2805, 0.8772)  1 P 2.18
Se (0.5805, 0.2805, 0.3772)  1 P 2.18
Se (0.7598, 0.4428, 0.0959)  2 Se 2.37-2.45
Se (0.5563, 0.5203, 0.6315)  2 Se 2.42-2.45
Se (0.8117, 0.9835, 0.5889)  1 P 2.34, 1 Se 2.37
Se (0.7598, 0.9428, 0.4041)  2 Se 2.37-2.45
Se (0.1883, 0.9835, 0.0889)  1 P 2.34, 1 Se 2.37
Se (0.4195, 0.7805, 0.6228)  1 P 2.18
Se (0.5563, 0.0203, 0.8685)  2 Se 2.42-2.45
Se (0.7489, 0.3520, 0.6526)  1 P 2.29, 1 Se 2.42
Se (0.9157, 0.1761, 0.8556)  1 P 2.18
Se (0.2511, 0.3520, 0.1526)  1 P 2.29, 1 Se 2.42
Se (0.5805, 0.7805, 0.1228)  1 P 2.18
Se (0.0843, 0.1761, 0.3556)  1 P 2.18
Se (0.8117, 0.4835, 0.9111)  1 P 2.34, 1 Se 2.37
Se (0.2402, 0.4428, 0.5959)  2 Se 2.37-2.45
Se (0.9157, 0.6761, 0.6444)  1 P 2.18
Se (0.0843, 0.6761, 0.1444)  1 P 2.18
Se (0.4437, 0.0203, 0.3685)  2 Se 2.42-2.45
Se (0.1883, 0.4835, 0.4111)  1 P 2.34, 1 Se 2.37
Se (0.2511, 0.8520, 0.3474)  1 P 2.29, 1 Se 2.42
Se (0.7489, 0.8520, 0.8474)  1 P 2.29, 1 Se 2.42
Se (0.2402, 0.9428, 0.9041)  2 Se 2.37-2.45
Se (0.4437, 0.5203, 0.1315)  2 Se 2.42-2.45
P (0.7124, 0.3133, 0.8324)  4 Se 2.18-2.34
P (0.7124, 0.8133, 0.6676)  4 Se 2.18-2.34
P (0.2876, 0.8133, 0.1676)  4 Se 2.18-2.34
P (0.2876, 0.3133, 0.3324)  4 Se 2.18-2.34
Rb (0.6819, 0.1335, 0.1262)  7 Se 3.57-3.99
Rb (0.6819, 0.6335, 0.3738)  7 Se 3.57-3.99
Rb (0.3181, 0.6335, 0.8738)  7 Se 3.57-3.99
Rb (0.3181, 0.1335, 0.6262)  7 Se 3.57-3.99

space-group type = Pca2_1, No. 29
volume = 1029.98 Å³ per cell
final energy = -3.76 eV per atom



4.
Here is a geometry-optimized Rb5SnP3Se15 structure from the Materials Project database. Energies are from PBE.

Cell: 7.4933 12.0222 19.6852 Å, 87.10 100.02 107.46°
With the nearest neighbours (Å) after each atom.
Fractional coordinates of all 48 atoms:
Se (0.7438, 0.2911, 0.1112)  1 P 2.32, 1 Se 2.38
Se (0.7741, 0.6274, 0.9403)  1 P 2.18
Se (0.5204, 0.3753, 0.6654)  1 P 2.20
Se (0.0486, 0.3172, 0.3955)  1 P 2.33, 1 Se 2.34
Se (0.6244, 0.1512, 0.7640)  1 P 2.32, 1 Se 2.36
Se (0.8212, 0.1318, 0.5323)  1 P 2.17
Se (0.1252, 0.6653, 0.7706)  1 Se 2.38
Se (0.3756, 0.8488, 0.2360)  1 P 2.32, 1 Se 2.36
Se (0.5083, 0.0054, 0.1655)  1 Se 2.36
Se (0.3264, 0.6235, 0.5529)  1 P 2.18
Se (0.0487, 0.1041, 0.1532)  1 P 2.25
Se (0.8098, 0.1470, 0.9754)  1 P 2.19
Se (0.8579, 0.8367, 0.6402)  1 Se 2.34
Se (0.2259, 0.3726, 0.0597)  1 P 2.18
Se (0.9514, 0.6828, 0.6045)  1 P 2.33, 1 Se 2.34
Se (0.8677, 0.8728, 0.2886)  1 P 2.25
Se (0.4096, 0.3567, 0.8391)  1 P 2.18
Se (0.1323, 0.1272, 0.7114)  1 P 2.25
Se (0.2562, 0.7089, 0.8888)  1 P 2.32, 1 Se 2.38
Se (0.4917, 0.9946, 0.8345)  1 Se 2.36
Se (0.5888, 0.0997, 0.3527)  1 P 2.25
Se (0.8748, 0.3347, 0.2294)  1 Se 2.38
Se (0.1421, 0.1633, 0.3598)  1 Se 2.34
Se (0.9513, 0.8959, 0.8468)  1 P 2.25
Se (0.4112, 0.9003, 0.6473)  1 P 2.25
Se (0.6736, 0.3765, 0.4471)  1 P 2.18
Se (0.1902, 0.8530, 0.0246)  1 P 2.19
Se (0.1788, 0.8682, 0.4677)  1 P 2.17
Se (0.4796, 0.6247, 0.3346)  1 P 2.20
Se (0.5904, 0.6433, 0.1609)  1 P 2.18
P (0.0261, 0.7702, 0.9272)  4 Se 2.18-2.32
P (0.7683, 0.2245, 0.4368)  4 Se 2.17-2.33
P (0.5872, 0.7399, 0.2511)  4 Se 2.18-2.32
P (0.9739, 0.2298, 0.0728)  4 Se 2.18-2.32
P (0.4128, 0.2601, 0.7489)  4 Se 2.18-2.32
P (0.2317, 0.7755, 0.5632)  4 Se 2.17-2.33
Sn (0.1699, 0.9011, 0.7421)  6 Se 2.73-2.84
Sn (0.8301, 0.0989, 0.2579)  6 Se 2.73-2.84
Rb (0.0002, 0.3859, 0.6276)  5 Se 3.45-3.76
Rb (0.9998, 0.6141, 0.3724)  5 Se 3.45-3.76
Rb (0.2995, 0.1351, 0.9614)  7 Se 3.46-3.78
Rb (0.7005, 0.8649, 0.0386)  7 Se 3.46-3.78
Rb (0.9435, 0.4035, 0.8829)  7 Se 3.47-3.85
Rb (0.5860, 0.6485, 0.7537)  7 Se 3.55-3.94
Rb (0.4140, 0.3515, 0.2463)  7 Se 3.55-3.94
Rb (0.6712, 0.8564, 0.4550)  8 Se 3.50-3.88
Rb (0.3288, 0.1436, 0.5450)  8 Se 3.50-3.88
Rb (0.0565, 0.5965, 0.1171)  7 Se 3.47-3.85

space-group type = P-1, No. 2
volume = 1665.84 Å³ per cell
final energy = -3.81 eV per atom